# 1
VASP calculation (PBE with a Hubbard U) on Li4Mn3NiP4O16 after structural relaxation.

The structure in POSCAR format:
```
Li4Mn3NiP4O16
1.0
4.768 0.000 0.000
0.000 6.101 0.000
-0.019 0.000 10.433
Li Mn Ni P O
4 3 1 4 16
Cartesian
0.000 1.525 0.000
0.000 4.576 0.000
2.369 1.523 5.249
2.369 4.579 5.249
2.253 0.000 2.309
2.499 3.051 8.142
4.628 3.051 2.961
0.078 0.000 7.546
0.401 3.051 6.206
1.948 3.051 0.969
2.805 0.000 9.436
4.343 0.000 4.311
1.008 3.051 4.772
1.023 1.800 6.933
1.023 4.302 6.933
1.109 0.000 4.236
1.268 0.000 9.373
1.309 1.816 1.695
1.309 4.285 1.695
1.352 3.051 9.960
3.375 0.000 0.458
3.485 3.051 1.011
3.475 1.226 8.716
3.475 4.875 8.716
3.632 3.051 6.220
3.692 1.229 3.579
3.692 4.873 3.579
3.780 0.000 5.762
```

Output
Mass density, g/cm³: 3.45
Space group: Pm
Total magnetization, μB per atom: 0.6071
Formation energy, eV/atom: -2.5612

***

# 2
VASP calculation (PBE with a Hubbard U) on Li4TiMn2Ni3P6O24 after structural relaxation.

The structure in POSCAR format:
```
Li4TiMn2Ni3P6O24
1.0
8.506 0.000 0.000
4.034 7.582 0.000
4.024 2.468 7.187
Li Ti Mn Ni P O
4 1 2 3 6 24
Cartesian
0.000 0.000 0.000
6.332 5.926 6.182
7.930 6.077 2.171
9.891 1.692 3.619
10.879 4.564 2.202
8.253 8.059 4.649
8.257 3.068 1.075
5.746 6.578 3.631
6.537 1.972 5.718
5.978 1.572 0.020
4.082 4.067 5.074
2.861 1.276 1.385
5.420 4.847 0.761
8.310 4.495 4.363
11.257 7.872 2.925
13.710 8.380 6.521
5.132 5.146 4.878
3.957 4.471 1.227
4.593 2.607 5.128
6.932 8.130 2.791
2.070 0.519 0.315
6.084 5.680 1.856
9.207 8.116 6.645
7.674 5.939 4.207
4.272 1.610 1.012
7.304 3.384 4.525
6.279 3.599 0.552
10.256 8.286 4.008
9.365 4.593 5.424
12.253 8.566 6.190
8.947 4.284 2.893
7.238 1.244 1.712
10.809 6.421 2.466
14.452 9.635 6.959
9.737 4.761 0.456
11.948 4.334 6.458
12.700 7.809 3.413
11.574 4.095 3.878
14.600 7.767 5.368
10.471 2.569 1.702
```

Output
Mass density, g/cm³: 3.34
Space group: P1
Total magnetization, μB per atom: 0.4000
Formation energy, eV/atom: -2.4934

***

# 3
VASP calculation (PBE with a Hubbard U) on Li4Mn2Ni3Sb3O16 after structural relaxation.

The structure in POSCAR format:
```
Li4Mn2Ni3Sb3O16
1.0
5.254 -3.050 0.000
5.254 3.050 0.000
-0.483 0.000 9.686
Li Mn Ni Sb O
4 2 3 3 16
Cartesian
0.000 0.000 0.000
-0.180 0.000 5.033
3.543 0.000 4.087
6.851 0.000 8.748
3.466 0.000 9.595
7.092 0.000 5.016
4.314 1.494 7.076
4.314 -1.494 7.076
8.899 0.000 2.233
1.711 0.000 7.060
6.333 1.512 2.225
6.333 -1.512 2.225
0.172 0.000 3.214
-0.062 0.000 7.970
2.590 1.304 8.409
1.823 0.000 1.110
4.673 1.514 1.098
6.130 1.596 5.945
3.429 0.000 6.049
2.590 -1.304 8.409
4.956 0.000 8.316
7.899 1.403 3.400
5.566 0.000 3.431
7.161 0.000 1.123
4.673 -1.514 1.098
8.673 0.000 6.008
6.130 -1.596 5.945
7.899 -1.403 3.400
```

Output
Mass density, g/cm³: 5.00
Space group: Cm
Total magnetization, μB per atom: 0.4643
Formation energy, eV/atom: -1.8523

***

# 4
VASP calculation (PBE with a Hubbard U) on Li4Mn2Ni3Sn3O16 after structural relaxation.

The structure in POSCAR format:
```
Li4Mn2Ni3Sn3O16
1.0
5.214 -3.040 0.000
5.214 3.040 0.000
-0.024 0.000 9.538
Li Mn Ni Sn O
4 2 3 3 16
Cartesian
0.000 0.000 0.000
0.043 0.000 4.659
3.285 0.000 3.728
6.783 0.000 8.582
3.275 0.000 9.432
6.712 0.000 4.585
1.620 0.000 6.806
5.951 1.477 2.025
5.951 -1.477 2.025
4.169 1.491 6.790
4.169 -1.491 6.790
8.512 0.000 2.023
2.560 1.329 8.141
4.209 1.504 0.907
1.683 0.000 0.948
3.293 0.000 5.695
5.935 1.480 5.656
2.560 -1.329 8.141
4.857 0.000 8.119
7.524 1.323 3.337
5.274 0.000 3.302
6.723 0.000 1.018
4.209 -1.504 0.907
5.935 -1.480 5.656
8.531 0.000 5.640
7.524 -1.323 3.337
10.305 0.000 7.747
10.386 0.000 2.866
```

Output
Mass density, g/cm³: 5.08
Space group: Cm
Total magnetization, μB per atom: 0.3572
Formation energy, eV/atom: -1.8018

***

# 5
VASP calculation (PBE with a Hubbard U) on Li4Mn3Ni2Sn3O16 after structural relaxation.

The structure in POSCAR format:
```
Li4Mn3Ni2Sn3O16
1.0
5.234 -3.022 0.000
5.234 3.022 0.000
-0.077 0.000 9.698
Li Mn Ni Sn O
4 3 2 3 16
Cartesian
0.000 0.000 0.000
0.003 0.000 4.781
3.268 0.000 3.680
6.734 0.000 8.624
1.585 0.000 6.926
5.972 1.488 2.061
5.972 -1.488 2.061
3.282 0.000 9.597
6.795 0.000 4.687
4.160 1.493 6.903
4.160 -1.493 6.903
8.554 0.000 2.050
2.445 1.323 8.085
1.547 0.000 1.070
4.338 1.567 0.969
3.190 0.000 5.787
5.964 1.604 5.846
2.445 -1.323 8.085
4.854 0.000 8.144
7.526 1.377 3.216
5.266 0.000 3.154
6.718 0.000 1.007
4.338 -1.567 0.969
8.664 0.000 5.715
5.964 -1.604 5.846
7.526 -1.377 3.216
10.390 0.000 7.915
10.431 0.000 2.999
```

Output
Mass density, g/cm³: 4.99
Space group: Cm
Total magnetization, μB per atom: 0.4643
Formation energy, eV/atom: -1.9260

***

# 6
VASP calculation (PBE with a Hubbard U) on Li4Mn3Ni3Te2O16 after structural relaxation.

The structure in POSCAR format:
```
Li4Mn3Ni3Te2O16
1.0
5.151 -2.978 0.000
5.151 2.978 0.000
-0.202 0.000 9.710
Li Mn Ni Te O
4 3 3 2 16
Cartesian
0.000 0.000 0.000
10.201 0.000 4.801
3.220 0.000 9.000
6.744 0.000 4.069
1.748 0.000 2.191
5.880 1.464 7.027
5.880 -1.464 7.027
4.247 1.460 2.174
4.247 -1.460 2.174
8.389 0.000 7.053
3.380 0.000 4.796
6.711 0.000 9.690
-0.076 0.000 7.857
0.049 0.000 3.004
2.545 1.293 3.486
4.166 1.473 5.835
1.712 0.000 5.815
3.331 0.000 1.200
6.085 1.486 1.042
2.545 -1.293 3.486
4.881 0.000 3.566
7.433 1.330 8.382
5.140 0.000 8.504
6.631 0.000 6.072
4.166 -1.473 5.835
8.572 0.000 0.950
6.085 -1.486 1.042
7.433 -1.330 8.382
```

Output
Mass density, g/cm³: 4.90
Space group: Cm
Total magnetization, μB per atom: 0.6071
Formation energy, eV/atom: -1.8122

***

# 7
VASP calculation (PBE with a Hubbard U) on Li2TiMn2NiO8 after structural relaxation.

The structure in POSCAR format:
```
Li2TiMn2NiO8
1.0
1.043 2.161 -5.340
-9.102 -3.376 -3.144
0.026 5.907 -0.813
O Li Ni Mn Ti
16 4 2 4 2
Cartesian
-1.346 1.196 -2.988
-5.786 2.184 -5.182
-6.004 -0.551 -4.605
-7.595 1.928 -7.121
-3.222 0.963 -5.176
-3.783 -0.200 -2.302
-0.931 2.217 -5.703
-8.294 -1.806 -4.077
-3.151 3.557 -5.594
-0.713 4.953 -6.280
-5.304 3.183 -7.649
-3.565 2.535 -2.880
-8.223 0.788 -4.496
-5.375 0.588 -7.230
-7.813 -0.808 -6.544
-1.274 3.790 -3.407
-4.029 -0.524 -4.208
-5.540 2.508 -3.276
-0.467 5.276 -4.374
-8.058 -1.131 -8.450
-2.757 4.249 -2.028
-6.786 3.642 -6.270
-6.799 0.688 -5.863
-7.320 -0.392 -3.193
-2.770 1.296 -1.621
-2.248 2.376 -4.291
-4.263 2.072 -6.412
-0.233 2.680 -2.170
```

Output
Mass density, g/cm³: 4.07
Total magnetization, μB per atom: 0.0000
Formation energy, eV/atom: -2.2608

***

# 8
VASP calculation (PBE with a Hubbard U) on Li4Ti4Mn4NiO18 after structural relaxation.

The structure in POSCAR format:
```
Li4Ti4Mn4NiO18
1.0
9.126 0.000 0.000
0.000 25.302 0.000
0.000 0.000 2.937
Li Ti Mn Ni O
8 8 8 2 36
Cartesian
1.850 0.020 0.000
1.887 4.996 0.000
2.676 17.647 0.000
2.713 12.670 0.000
6.413 12.631 0.000
6.450 7.655 0.000
7.239 20.306 0.000
7.276 25.282 0.000
0.086 2.638 0.000
1.292 20.364 1.468
3.271 7.713 1.468
4.477 15.289 0.000
4.650 10.012 0.000
5.855 17.589 1.468
7.834 4.938 1.468
9.040 22.663 0.000
0.181 7.986 0.000
1.255 14.830 1.468
3.308 2.180 1.468
4.382 20.637 0.000
4.744 4.664 0.000
5.818 23.122 1.468
7.871 10.471 1.468
8.945 17.315 0.000
0.000 12.651 0.000
4.563 0.000 0.000
0.015 14.751 0.000
0.296 23.787 1.468
0.511 4.120 1.468
1.016 19.145 0.000
1.020 16.776 1.468
1.314 7.367 1.468
1.436 12.948 1.468
1.594 21.691 0.000
2.011 2.272 0.000
2.552 14.922 0.000
2.969 9.040 0.000
3.127 0.297 1.468
3.249 20.017 1.468
3.543 4.125 1.468
3.547 6.494 0.000
4.052 16.771 1.468
4.268 11.136 1.468
4.548 2.100 0.000
4.579 23.202 0.000
4.859 14.166 1.468
5.074 8.531 1.468
5.579 18.807 0.000
5.583 21.177 1.468
5.877 5.284 1.468
5.999 25.005 1.468
6.157 16.262 0.000
6.574 10.379 0.000
7.115 23.030 0.000
7.532 3.611 0.000
7.691 12.354 1.468
7.812 17.935 1.468
8.106 8.526 1.468
8.110 6.156 0.000
8.615 21.182 1.468
8.831 1.515 1.468
9.111 10.551 0.000
```

Output
Mass density, g/cm³: 3.85
Space group: Pbam
Total magnetization, μB per atom: 0.5161
Formation energy, eV/atom: -2.5454

***

What did the eighth record say?
VASP calculation (PBE with a Hubbard U) on Li4Ti4Mn4NiO18 after structural relaxation.

The structure in POSCAR format:
```
Li4Ti4Mn4NiO18
1.0
9.126 0.000 0.000
0.000 25.302 0.000
0.000 0.000 2.937
Li Ti Mn Ni O
8 8 8 2 36
Cartesian
1.850 0.020 0.000
1.887 4.996 0.000
2.676 17.647 0.000
2.713 12.670 0.000
6.413 12.631 0.000
6.450 7.655 0.000
7.239 20.306 0.000
7.276 25.282 0.000
0.086 2.638 0.000
1.292 20.364 1.468
3.271 7.713 1.468
4.477 15.289 0.000
4.650 10.012 0.000
5.855 17.589 1.468
7.834 4.938 1.468
9.040 22.663 0.000
0.181 7.986 0.000
1.255 14.830 1.468
3.308 2.180 1.468
4.382 20.637 0.000
4.744 4.664 0.000
5.818 23.122 1.468
7.871 10.471 1.468
8.945 17.315 0.000
0.000 12.651 0.000
4.563 0.000 0.000
0.015 14.751 0.000
0.296 23.787 1.468
0.511 4.120 1.468
1.016 19.145 0.000
1.020 16.776 1.468
1.314 7.367 1.468
1.436 12.948 1.468
1.594 21.691 0.000
2.011 2.272 0.000
2.552 14.922 0.000
2.969 9.040 0.000
3.127 0.297 1.468
3.249 20.017 1.468
3.543 4.125 1.468
3.547 6.494 0.000
4.052 16.771 1.468
4.268 11.136 1.468
4.548 2.100 0.000
4.579 23.202 0.000
4.859 14.166 1.468
5.074 8.531 1.468
5.579 18.807 0.000
5.583 21.177 1.468
5.877 5.284 1.468
5.999 25.005 1.468
6.157 16.262 0.000
6.574 10.379 0.000
7.115 23.030 0.000
7.532 3.611 0.000
7.691 12.354 1.468
7.812 17.935 1.468
8.106 8.526 1.468
8.110 6.156 0.000
8.615 21.182 1.468
8.831 1.515 1.468
9.111 10.551 0.000
```

Output
Mass density, g/cm³: 3.85
Space group: Pbam
Total magnetization, μB per atom: 0.5161
Formation energy, eV/atom: -2.5454